Mn3CuAs2 GGA-PBE optimized geometry; magnetization = 30.9 Bohr magnetons per cell; space-group type = No. 62; energy relative to the elements = -0.070 eV per atom; energy = -0.5062 Ry per atom
1.0
12.701 0.000 0.000
0.000 3.548 0.000
0.000 0.000 7.289
Mn Cu As
12 4 8
direct
0.107 0.250 0.052
0.152 0.750 0.700
0.190 0.750 0.308
0.310 0.250 0.808
0.348 0.250 0.200
0.393 0.750 0.552
0.607 0.250 0.448
0.652 0.750 0.800
0.690 0.750 0.192
0.810 0.250 0.692
0.848 0.250 0.300
0.893 0.750 0.948
0.059 0.250 0.440
0.441 0.750 0.940
0.559 0.250 0.060
0.941 0.750 0.560
0.002 0.250 0.775
0.247 0.750 0.002
0.253 0.250 0.502
0.498 0.750 0.275
0.502 0.250 0.725
0.747 0.750 0.498
0.753 0.250 0.998
0.998 0.750 0.225